# Gd2Ti2O7

An optimized crystal structure of Gd2Ti2O7 (PBE, Materials Project).

a = 7.274 Å, b = 7.274 Å, c = 23.965 Å
α = 99.10°, β = 99.10°, γ = 59.63°
Element x y z (fractional)
Gd 0.000 0.000 0.000
Gd 0.127 0.625 0.875
Gd 0.127 0.627 0.373
Gd 0.257 0.257 0.750
Gd 0.366 0.366 0.111
Gd 0.374 0.374 0.622
Gd 0.375 0.875 0.627
Gd 0.377 0.875 0.125
Gd 0.501 0.501 0.500
Gd 0.625 0.127 0.875
Gd 0.627 0.127 0.373
Gd 0.630 0.630 0.379
Gd 0.636 0.636 0.889
Gd 0.745 0.745 0.250
Gd 0.875 0.375 0.627
Gd 0.875 0.377 0.125
Ti 0.000 0.502 0.001
Ti 0.001 0.001 0.500
Ti 0.001 0.502 0.501
Ti 0.123 0.123 0.866
Ti 0.124 0.124 0.374
Ti 0.249 0.753 0.247
Ti 0.250 0.754 0.754
Ti 0.253 0.253 0.250
Ti 0.500 0.500 0.000
Ti 0.502 0.000 0.001
Ti 0.502 0.001 0.501
Ti 0.749 0.749 0.750
Ti 0.753 0.249 0.247
Ti 0.754 0.250 0.754
Ti 0.880 0.880 0.627
Ti 0.884 0.884 0.136
O 0.003 0.003 0.417
O 0.003 0.410 0.418
O 0.008 0.388 0.918
O 0.013 0.013 0.095
O 0.066 0.646 0.768
O 0.069 0.069 0.772
O 0.098 0.692 0.481
O 0.159 0.554 0.269
O 0.161 0.757 0.669
O 0.187 0.610 0.988
O 0.219 0.699 0.165
O 0.222 0.222 0.655
O 0.235 0.235 0.027
O 0.238 0.238 0.164
O 0.245 0.245 0.331
O 0.245 0.842 0.330
O 0.268 0.268 0.841
O 0.306 0.780 0.835
O 0.309 0.904 0.519
O 0.310 0.310 0.520
O 0.356 0.936 0.232
O 0.388 0.008 0.918
O 0.391 0.815 0.012
O 0.410 0.003 0.418
O 0.448 0.843 0.731
O 0.455 0.455 0.737
O 0.470 0.470 0.405
O 0.477 0.477 0.917
O 0.525 0.525 0.083
O 0.533 0.533 0.594
O 0.547 0.547 0.261
O 0.554 0.159 0.269
O 0.592 0.998 0.582
O 0.610 0.187 0.988
O 0.613 0.994 0.082
O 0.646 0.066 0.768
O 0.692 0.098 0.481
O 0.692 0.692 0.480
O 0.699 0.219 0.165
O 0.735 0.735 0.158
O 0.757 0.161 0.669
O 0.758 0.758 0.669
O 0.764 0.764 0.836
O 0.768 0.768 0.973
O 0.780 0.306 0.835
O 0.781 0.781 0.344
O 0.815 0.391 0.012
O 0.842 0.245 0.330
O 0.843 0.448 0.731
O 0.904 0.309 0.519
O 0.933 0.933 0.227
O 0.936 0.356 0.232
O 0.988 0.988 0.905
O 0.994 0.613 0.082
O 0.998 0.592 0.582
O 0.999 0.999 0.583

Summary:
VASP energy = -10.4071 eV/atom

# CuO

An optimized crystal structure of CuO (PBE, Materials Project).

a = 5.748 Å, b = 5.748 Å, c = 12.652 Å
α = 90.00°, β = 90.00°, γ = 90.00°
Element x y z (fractional)
Cu 0.003 0.250 0.151
Cu 0.004 0.250 0.497
Cu 0.250 0.003 0.651
Cu 0.250 0.004 0.997
Cu 0.250 0.496 0.997
Cu 0.250 0.497 0.651
Cu 0.496 0.250 0.497
Cu 0.497 0.250 0.151
Cu 0.503 0.750 0.849
Cu 0.504 0.750 0.503
Cu 0.750 0.503 0.349
Cu 0.750 0.504 0.003
Cu 0.750 0.996 0.003
Cu 0.750 0.997 0.349
Cu 0.996 0.750 0.503
Cu 0.997 0.750 0.849
O 0.036 0.250 0.640
O 0.036 0.750 0.647
O 0.250 0.036 0.140
O 0.250 0.464 0.140
O 0.250 0.536 0.853
O 0.250 0.964 0.853
O 0.464 0.250 0.640
O 0.464 0.750 0.647
O 0.536 0.250 0.353
O 0.536 0.750 0.360
O 0.750 0.036 0.147
O 0.750 0.464 0.147
O 0.750 0.536 0.860
O 0.750 0.964 0.860
O 0.964 0.250 0.353
O 0.964 0.750 0.360

Summary:
VASP energy = -4.9433 eV/atom

# SmPRu2C

An optimized crystal structure of SmPRu2C (PBE, Materials Project).

a = 5.834 Å, b = 5.834 Å, c = 7.135 Å
α = 90.00°, β = 90.00°, γ = 141.32°
Element x y z (fractional)
Sm 0.046 0.954 0.750
Sm 0.954 0.046 0.250
P 0.230 0.770 0.250
P 0.770 0.230 0.750
Ru 0.334 0.666 0.554
Ru 0.334 0.666 0.946
Ru 0.666 0.334 0.054
Ru 0.666 0.334 0.446
C 0.500 0.500 0.000
C 0.500 0.500 0.500

Summary:
VASP energy = -8.2427 eV/atom

# NaYSn

An optimized crystal structure of NaYSn (PBE, Materials Project).

a = 5.149 Å, b = 5.149 Å, c = 5.149 Å
α = 60.00°, β = 60.00°, γ = 60.00°
Element x y z (fractional)
Na 0.000 0.000 0.000
Y 0.750 0.750 0.750
Sn 0.500 0.500 0.500

Summary:
VASP energy = -3.9435 eV/atom

# MgPd5

An optimized crystal structure of MgPd5 (PBE, Materials Project).

a = 5.386 Å, b = 5.386 Å, c = 5.386 Å
α = 53.52°, β = 53.52°, γ = 53.52°
Element x y z (fractional)
Mg 0.000 0.000 0.000
Pd 0.167 0.833 0.500
Pd 0.333 0.333 0.333
Pd 0.500 0.167 0.833
Pd 0.667 0.667 0.667
Pd 0.833 0.500 0.167

Summary:
VASP energy = -4.9163 eV/atom

# Na6CaZr3Si2P4O24

An optimized crystal structure of Na6CaZr3Si2P4O24 (PBE, Materials Project).

a = 16.020 Å, b = 9.174 Å, c = 9.262 Å
α = 90.22°, β = 125.26°, γ = 89.83°
Element x y z (fractional)
O 0.157 0.374 0.927
O 0.046 0.663 0.065
Zr 0.106 0.746 0.554
O 0.657 0.874 0.927
Zr 0.895 0.758 0.938
O 0.772 0.682 0.263
O 0.424 0.346 0.752
P 0.497 0.546 0.260
Na 0.751 0.246 0.002
O 0.362 0.848 0.610
O 0.569 0.344 0.724
P 0.647 0.114 0.241
Zr 0.396 0.754 0.446
Na 0.512 0.094 0.770
P 0.353 0.905 0.762
O 0.972 0.641 0.418
O 0.930 0.043 0.569
O 0.862 0.348 0.610
P 0.853 0.405 0.762
Ca 0.601 0.740 0.060
Na 0.998 0.390 0.236
O 0.239 0.673 0.245
O 0.430 0.543 0.569
O 0.654 0.947 0.260
O 0.853 0.575 0.750
Zr 0.896 0.254 0.446
O 0.924 0.846 0.752
Si 0.653 0.900 0.752
O 0.944 0.941 0.095
O 0.472 0.141 0.418
O 0.407 0.627 0.251
O 0.066 0.041 0.900
Ca 0.101 0.240 0.060
O 0.154 0.447 0.260
O 0.566 0.541 0.900
Na 0.183 0.078 0.804
O 0.546 0.163 0.065
O 0.054 0.950 0.427
O 0.444 0.441 0.095
O 0.943 0.351 0.941
Si 0.855 0.596 0.251
P 0.996 0.947 0.738
Si 0.153 0.400 0.752
O 0.244 0.314 0.753
O 0.907 0.127 0.251
Zr 0.395 0.258 0.938
Na 0.799 0.926 0.215
O 0.542 0.829 0.581
O 0.350 0.915 0.254
Na 0.012 0.594 0.770
Na 0.748 0.745 0.487
O 0.443 0.851 0.941
Si 0.355 0.096 0.251
O 0.353 0.075 0.750
O 0.649 0.181 0.396
O 0.252 0.859 0.733
Na 0.248 0.245 0.487
O 0.568 0.657 0.262
Na 0.299 0.426 0.215
O 0.068 0.157 0.262
O 0.163 0.577 0.735
O 0.069 0.844 0.724
P 0.496 0.447 0.738
Zr 0.606 0.246 0.554
P 0.997 0.046 0.260
O 0.353 0.138 0.072
Na 0.251 0.746 0.002
O 0.149 0.681 0.396
O 0.272 0.182 0.263
Na 0.683 0.578 0.804
O 0.739 0.173 0.245
O 0.663 0.077 0.735
Na 0.498 0.890 0.236
O 0.554 0.450 0.427
O 0.042 0.329 0.581
O 0.853 0.638 0.072
O 0.850 0.415 0.254
O 0.744 0.814 0.753
O 0.752 0.359 0.733
P 0.147 0.614 0.241

Summary:
VASP energy = -7.3060 eV/atom
E above lowest polymorph = 2.1 meV/atom

no.,energy relative to the elements (kJ/mol of formula units)
1,-3928
2,-147
3,-319
4,-3
5,-193
6,-11760